The following is a PBE calculation of a relaxed structure of BaAl2Si2O8, from the Materials Project.

abc: 5.3450 5.3450 7.9633
angles: 90.00 90.00 120.00
With the nearest neighbours (Å) after each atom.
Space group P-3 (No. 147)
One atom of each set of equivalent atoms:
Ba 0.0000 0.0000 0.0000 (multiplicity 1)  6 O 2.85
Al 0.3333 0.6667 0.2969 (multiplicity 2)  4 O 1.72-1.78
Si 0.3333 0.6667 0.7135 (multiplicity 2)  4 O 1.60-1.65
O 0.0112 0.5736 0.7904 (multiplicity 6)  1 Si 1.65, 1 Al 1.78
O 0.3333 0.6667 0.5126 (multiplicity 2)  1 Si 1.60, 1 Al 1.72

Computed properties:
As for the crystal system: trigonal. Its total energy is -99.2 eV/f.u. The calculation puts the relative energy among the computed polymorphs at 5 meV/atom. As for the energy of formation: -3.45 eV per atom.